Entry 1:
First-principles (GGA-PBE) data for a relaxed Mg13Nb2H32 crystal, as listed in the Materials Project database.

Unit cell a=6.715 b=6.715 c=9.451 alpha=90.00 beta=90.00 gamma=90.00
Atoms (fractional coordinates):
Mg1 0.000 0.000 0.500
Mg2 0.500 0.000 0.500
H1 0.500 0.262 0.383
H2 0.780 0.500 0.863
H3 0.233 0.000 0.881
Mg3 0.500 0.000 0.000
Nb1 0.000 0.000 0.000
Mg4 0.000 0.500 0.000
H4 0.000 0.233 0.881
H5 0.780 0.500 0.137
H6 0.000 0.767 0.119
Mg5 0.255 0.745 0.756
H7 0.262 0.500 0.617
H8 0.258 0.000 0.630
H9 0.500 0.780 0.137
H10 0.000 0.233 0.119
H11 0.500 0.780 0.863
H12 0.742 0.000 0.630
H13 0.500 0.738 0.617
H14 0.500 0.220 0.863
Mg6 0.745 0.745 0.244
H15 0.767 0.000 0.881
H16 0.000 0.258 0.630
H17 0.262 0.500 0.383
H18 0.258 0.000 0.370
Mg7 0.745 0.255 0.244
H19 0.500 0.262 0.617
H20 0.233 0.000 0.119
Mg8 0.255 0.745 0.244
H21 0.500 0.738 0.383
H22 0.000 0.742 0.370
Mg9 0.745 0.745 0.756
Mg10 0.745 0.255 0.756
H23 0.767 0.000 0.119
H24 0.000 0.742 0.630
H25 0.500 0.220 0.137
H26 0.738 0.500 0.617
Mg11 0.255 0.255 0.244
H27 0.742 0.000 0.370
Mg12 0.255 0.255 0.756
H28 0.220 0.500 0.863
Nb2 0.500 0.500 0.500
H29 0.220 0.500 0.137
Mg13 0.000 0.500 0.500
H30 0.000 0.767 0.881
H31 0.738 0.500 0.383
H32 0.000 0.258 0.370

Summary:
Volume   9.07 Å³/atom
MP2020-corrected energy   -3.3961 eV per atom
SG   P4/mmm, No. 123
Final energy   -3.274 eV/atom


Entry 2:
First-principles (GGA-PBE) data for a relaxed NdMgNi4H7 crystal, as listed in the Materials Project database.

Unit cell a=5.415 b=5.415 c=5.415 alpha=60.00 beta=60.00 gamma=60.00
Atoms (fractional coordinates):
H1 0.500 0.500 0.500
H2 0.992 0.992 0.508
Mg1 0.250 0.250 0.250
Nd1 0.000 0.000 0.000
H3 0.992 0.508 0.508
Ni1 0.623 0.623 0.623
H4 0.508 0.992 0.992
Ni2 0.130 0.623 0.623
H5 0.508 0.508 0.992
H6 0.508 0.992 0.508
Ni3 0.623 0.130 0.623
H7 0.992 0.508 0.992
Ni4 0.623 0.623 0.130

Summary:
Volume   8.63 Å³/atom
MP2020-corrected energy   -4.4207 eV per atom
SG   F-43m, No. 216
Final energy   -4.324 eV/atom


Entry 3:
First-principles (GGA-PBE) data for a relaxed NdMgNi4H4 crystal, as listed in the Materials Project database.

Unit cell a=5.052 b=5.470 c=7.329 alpha=90.00 beta=90.00 gamma=90.00
Atoms (fractional coordinates):
Mg1 0.500 0.182 0.723
Ni1 0.756 0.229 0.379
Ni2 0.000 0.993 0.604
Ni3 0.744 0.771 0.879
H1 0.000 0.938 0.824
Ni4 0.244 0.229 0.379
H2 0.752 0.490 0.258
Mg2 0.000 0.818 0.223
H3 0.500 0.062 0.324
Nd1 0.000 0.298 0.002
H4 0.000 0.721 0.511
Ni5 0.256 0.771 0.879
H5 0.748 0.510 0.758
Ni6 0.500 0.007 0.104
H6 0.248 0.490 0.258
H7 0.252 0.510 0.758
Nd2 0.500 0.702 0.502
Ni7 0.500 0.551 0.122
Ni8 0.000 0.449 0.622
H8 0.500 0.279 0.012

Summary:
Volume   10.13 Å³/atom
MP2020-corrected energy   -4.6577 eV per atom
SG   Pmn2_1, No. 31
Final energy   -4.586 eV/atom


Entry 4:
First-principles (GGA-PBE) data for a relaxed MgNiH crystal, as listed in the Materials Project database.

Unit cell a=3.088 b=3.088 c=3.257 alpha=90.00 beta=90.00 gamma=90.00
Atoms (fractional coordinates):
Ni1 0.500 0.500 0.500
Mg1 0.000 0.000 0.000
H1 0.500 0.500 0.000

Summary:
Volume   10.35 Å³/atom
MP2020-corrected energy   -3.8401 eV per atom
SG   P4/mmm, No. 123
Final energy   -3.780 eV/atom


Entry 5:
First-principles (GGA-PBE) data for a relaxed MgNiH3 crystal, as listed in the Materials Project database.

Unit cell a=3.329 b=3.329 c=3.329 alpha=90.00 beta=90.00 gamma=90.00
Atoms (fractional coordinates):
Mg1 0.000 0.000 0.000
H1 0.000 0.500 0.500
H2 0.500 0.500 0.000
Ni1 0.500 0.500 0.500
H3 0.500 0.000 0.500

Summary:
Volume   7.38 Å³/atom
MP2020-corrected energy   -3.7711 eV per atom
SG   Pm-3m, No. 221
Final energy   -3.664 eV/atom